First-principles (GGA-PBE) data for a relaxed structure of MgNb2I6O2, as listed in the Materials Project database.

Geometry as CIF:
```
data_MgNb2I6O2
_symmetry_space_group_name_H-M 'P 1'
_symmetry_Int_Tables_number 1
_symmetry_space_group_name_Hall 'P 1'
_cell_length_a 3.9039
_cell_length_b 8.2163
_cell_length_c 12.6016
_cell_angle_alpha 83.56
_cell_angle_beta 81.21
_cell_angle_gamma 76.27
loop_
_atom_site_label
_atom_site_fract_x
_atom_site_fract_y
_atom_site_fract_z
_atom_site_occupancy
Mg1 0.0000 0.0000 0.0000 1
Nb1 0.5659 0.5563 0.3065 1
Nb2 0.8083 0.4646 0.9158 1
I1 0.0087 0.1671 0.8030 1
I2 0.3749 0.8514 0.3928 1
I3 0.5916 0.3339 0.4769 1
I4 0.5916 0.7568 0.0586 1
I5 0.7924 0.6744 0.7337 1
I6 0.8084 0.2520 0.1323 1
O1 0.0822 0.5518 0.2756 1
O2 0.3018 0.4604 0.9331 1
```

Properties
**E**: -4.709 eV/atom
**Relative energy among the computed polymorphs**: 0.76 eV/f.u.
**ΔH_f (0 K)**: -1.1212 eV/atom
**Spin magnetization**: 1.99 μB per formula unit